Entry from the Materials Project: an optimized crystal structure of Fe2B3H7C6O6 (PBE with a Hubbard U).

## Properties
ΔH_f (0 K): -0.314 eV per atom
total energy: -6.029 eV/atom

Cell: 9.066 11.094 12.526 Å, 90.00 99.60 90.00°
Space group P2_1/c (No. 14)
Symmetry-distinct sites (fractional):
Fe1 0.118 0.014 0.320 (multiplicity 4)
Fe2 0.362 0.050 0.242 (multiplicity 4)
B1 0.028 0.000 0.158 (multiplicity 4)
B2 0.136 0.133 0.194 (multiplicity 4)
B3 0.184 0.595 0.701 (multiplicity 4)
H1 0.059 0.095 0.100 (multiplicity 4)
H2 0.098 0.236 0.195 (multiplicity 4)
H3 0.101 0.022 0.875 (multiplicity 4)
H4 0.101 0.578 0.604 (multiplicity 4)
H5 0.188 0.703 0.706 (multiplicity 4)
H6 0.263 0.137 0.153 (multiplicity 4)
H7 0.308 0.565 0.663 (multiplicity 4)
C1 0.071 0.502 0.172 (multiplicity 4)
C2 0.144 0.141 0.407 (multiplicity 4)
C3 0.174 0.609 0.909 (multiplicity 4)
C4 0.420 0.179 0.322 (multiplicity 4)
C5 0.459 0.551 0.839 (multiplicity 4)
C6 0.499 0.564 0.342 (multiplicity 4)
O1 0.156 0.227 0.461 (multiplicity 4)
O2 0.198 0.005 0.666 (multiplicity 4)
O3 0.206 0.692 0.965 (multiplicity 4)
O4 0.410 0.574 0.398 (multiplicity 4)
O5 0.459 0.235 0.872 (multiplicity 4)
O6 0.477 0.118 0.598 (multiplicity 4)